(1)
# Li3Ti2P3O12

Crystalline Li3Ti2P3O12 at its relaxed geometry (PBE-GGA, Materials Project).

Results
ρ: 3.0 g/cm³
excess energy over the best structure of this formula in the dataset: 33 meV per atom
formation energy: -2845 meV per atom
crystal system: monoclinic

CIF file:
```
data_Li3Ti2P3O12
_cell_length_a 11.858
_cell_length_b 12.527
_cell_length_c 6.452
_cell_angle_alpha 90.00
_cell_angle_beta 113.65
_cell_angle_gamma 90.00
_symmetry_space_group_name_H-M 'C 1 2/c 1'
_symmetry_Int_Tables_number 15
loop_
_symmetry_equiv_pos_as_xyz
'x,y,z'
'-x,-y,-z'
'-x,y,-z+1/2'
'x,-y,z+1/2'
'x+1/2,y+1/2,z'
'-x+1/2,-y+1/2,-z'
'-x+1/2,y+1/2,-z+1/2'
'x+1/2,-y+1/2,z+1/2'
loop_
_atom_site_label
_atom_site_type_symbol
_atom_site_fract_x
_atom_site_fract_y
_atom_site_fract_z
Li1 Li 0.000 0.000 0.000
Li2 Li 0.000 0.211 0.250
Li3 Li 0.000 0.497 0.750
Ti1 Ti 0.220 0.332 0.123
P1 P 0.000 0.211 0.750
P2 P 0.239 0.401 0.617
O1 O 0.044 0.282 0.966
O2 O 0.101 0.136 0.740
O3 O 0.124 0.080 0.311
O4 O 0.159 0.495 0.082
O5 O 0.178 0.337 0.394
O6 O 0.222 0.331 0.807
```

(2)
# Bi2Pb2S5

Crystalline Bi2Pb2S5 at its relaxed geometry (PBE-GGA, Materials Project).

Results
ρ: 6.7 g/cm³
formation energy: -690 meV per atom
crystal system: orthorhombic

CIF file:
```
data_Bi2Pb2S5
_cell_length_a 24.464
_cell_length_b 4.087
_cell_length_c 19.676
_cell_angle_alpha 90.00
_cell_angle_beta 90.00
_cell_angle_gamma 90.00
_symmetry_space_group_name_H-M 'P n m a'
_symmetry_Int_Tables_number 62
loop_
_symmetry_equiv_pos_as_xyz
'x,y,z'
'-x,-y,-z'
'-x+1/2,-y,z+1/2'
'x+1/2,y,-z+1/2'
'x+1/2,-y+1/2,-z+1/2'
'-x+1/2,y+1/2,z+1/2'
'-x,y+1/2,-z'
'x,-y+1/2,z'
loop_
_atom_site_label
_atom_site_type_symbol
_atom_site_fract_x
_atom_site_fract_y
_atom_site_fract_z
Bi1 Bi 0.008 0.250 0.097
Bi2 Bi 0.153 0.750 0.983
Bi3 Bi 0.170 0.250 0.187
Bi4 Bi 0.199 0.250 0.595
Pb1 Pb 0.041 0.750 0.282
Pb2 Pb 0.065 0.750 0.534
Pb3 Pb 0.130 0.250 0.795
Pb4 Pb 0.201 0.750 0.391
S1 S 0.001 0.250 0.590
S2 S 0.036 0.750 0.784
S3 S 0.074 0.250 0.939
S4 S 0.085 0.750 0.123
S5 S 0.125 0.250 0.307
S6 S 0.143 0.750 0.655
S7 S 0.149 0.250 0.473
S8 S 0.199 0.750 0.862
S9 S 0.222 0.250 0.031
S10 S 0.235 0.750 0.223
```

(3)
# Sm3SOF5

Crystalline Sm3SOF5 at its relaxed geometry (PBE-GGA, Materials Project).

Results
ρ: 6.5 g/cm³
formation energy: -4039 meV per atom
crystal system: monoclinic

CIF file:
```
data_Sm3SOF5
_cell_length_a 9.609
_cell_length_b 3.783
_cell_length_c 9.657
_cell_angle_alpha 90.00
_cell_angle_beta 119.60
_cell_angle_gamma 90.00
_symmetry_space_group_name_H-M 'P 1 m 1'
_symmetry_Int_Tables_number 6
loop_
_symmetry_equiv_pos_as_xyz
'x,y,z'
'x,-y,z'
loop_
_atom_site_label
_atom_site_type_symbol
_atom_site_fract_x
_atom_site_fract_y
_atom_site_fract_z
Sm1 Sm 0.000 0.000 0.000
Sm2 Sm 0.106 0.500 0.689
Sm3 Sm 0.284 0.000 0.452
Sm4 Sm 0.405 0.500 0.182
Sm5 Sm 0.578 0.500 0.871
Sm6 Sm 0.833 0.000 0.313
S1 S 0.028 0.500 0.247
S2 S 0.373 0.000 0.918
O1 O 0.085 0.000 0.533
O2 O 0.265 0.000 0.198
F1 F 0.132 0.500 0.960
F2 F 0.324 0.500 0.633
F3 F 0.428 0.500 0.436
F4 F 0.542 0.000 0.706
F5 F 0.588 0.000 0.312
F6 F 0.656 0.500 0.152
F7 F 0.749 0.000 0.019
F8 F 0.823 0.500 0.870
F9 F 0.847 0.500 0.467
F10 F 0.977 0.000 0.748
```